A relaxed structure of Li6MnSiO6, computed with PBE+U.

Structure (CIF):
```
data_Li6MnSiO6
_chemical_formula_sum 'Li24 Mn4 Si4 O24'
_cell_length_a 8.2735
_cell_length_b 8.2735
_cell_length_c 8.2735
_cell_angle_alpha 90.00
_cell_angle_beta 90.00
_cell_angle_gamma 90.00
_space_group_name_H-M_alt 'P 1'
_space_group_IT_number 1
_space_group_name_Hall 'P 1'
loop_
_atom_site_label
_atom_site_type_symbol
_atom_site_fract_x
_atom_site_fract_y
_atom_site_fract_z
Li1 Li 0.0037 0.2365 0.7266
Li2 Li 0.0201 0.1721 0.3343
Li3 Li 0.1657 0.9799 0.6721
Li4 Li 0.1721 0.3343 0.0201
Li5 Li 0.2266 0.4963 0.7635
Li6 Li 0.2365 0.7266 0.0037
Li7 Li 0.2635 0.2734 0.5037
Li8 Li 0.2734 0.5037 0.2635
Li9 Li 0.3279 0.6657 0.5201
Li10 Li 0.3343 0.0201 0.1721
Li11 Li 0.4799 0.8279 0.8343
Li12 Li 0.4963 0.7635 0.2266
Li13 Li 0.5037 0.2635 0.2734
Li14 Li 0.5201 0.3279 0.6657
Li15 Li 0.6657 0.5201 0.3279
Li16 Li 0.6721 0.1657 0.9799
Li17 Li 0.7266 0.0037 0.2365
Li18 Li 0.7365 0.7734 0.9963
Li19 Li 0.7635 0.2266 0.4963
Li20 Li 0.7734 0.9963 0.7365
Li21 Li 0.8279 0.8343 0.4799
Li22 Li 0.8343 0.4799 0.8279
Li23 Li 0.9799 0.6721 0.1657
Li24 Li 0.9963 0.7365 0.7734
Mn1 Mn 0.1264 0.8736 0.3736
Mn2 Mn 0.3736 0.1264 0.8736
Mn3 Mn 0.6264 0.6264 0.6264
Mn4 Mn 0.8736 0.3736 0.1264
Si1 Si 0.0074 0.0074 0.0074
Si2 Si 0.4926 0.9926 0.5074
Si3 Si 0.5074 0.4926 0.9926
Si4 Si 0.9926 0.5074 0.4926
O1 O 0.0105 0.5105 0.9895
O2 O 0.1007 0.3873 0.3755
O3 O 0.1127 0.6245 0.6007
O4 O 0.1230 0.1230 0.1230
O5 O 0.1245 0.8993 0.8873
O6 O 0.2380 0.2620 0.7380
O7 O 0.2620 0.7380 0.2380
O8 O 0.3755 0.1007 0.3873
O9 O 0.3770 0.8770 0.6230
O10 O 0.3873 0.3755 0.1007
O11 O 0.3993 0.6127 0.8755
O12 O 0.4895 0.4895 0.4895
O13 O 0.5105 0.9895 0.0105
O14 O 0.6007 0.1127 0.6245
O15 O 0.6127 0.8755 0.3993
O16 O 0.6230 0.3770 0.8770
O17 O 0.6245 0.6007 0.1127
O18 O 0.7380 0.2380 0.2620
O19 O 0.7620 0.7620 0.7620
O20 O 0.8755 0.3993 0.6127
O21 O 0.8770 0.6230 0.3770
O22 O 0.8873 0.1245 0.8993
O23 O 0.8993 0.8873 0.1245
O24 O 0.9895 0.0105 0.5105
```

Computed properties:
- Energy of formation from the pure elements: -32.879 eV per formula unit
- Volume: 141.6 Å³/f.u.